1.
36
Lattice="-0.3523 -1.3481 -8.3980 9.1915 -2.9158 0.0825 -3.7160 -11.6568 2.0271" Properties=species:S:1:pos:R:3 comment="meta-GGA r2SCAN Ba3GaS4Cl, optimized geometry" total_magnetization_mub_per_cell=0.0 formation_energy_ev_per_fu=-18.8 volume_a3_per_atom=28.3 pbc="T T T"
S -0.4819 -9.5370 -1.5774
Ba 3.2187 -13.7353 1.3282
S 0.1266 -7.7745 -7.0811
S 2.6754 -9.2127 -4.5714
S -1.5802 -13.0242 -2.4629
S -1.2425 -5.5373 -1.7501
Ba 1.9032 -9.2977 0.6872
Ga 6.2553 -4.3564 -5.5064
S 4.9966 -8.1461 0.7927
Ba 5.7116 -13.3467 -3.1372
Cl 5.9776 -5.1007 -0.8742
Ga 4.3542 -10.3499 -5.5217
Ba 1.4789 -12.0040 -3.1752
S 6.3657 -10.3833 -4.5383
S 0.6333 -12.3695 0.3356
S 3.6678 -12.5155 -5.5879
Ba 0.1620 -7.5714 -3.8477
Ba 3.6443 -3.9166 -3.1132
S 2.4477 -6.7079 -1.7170
S 5.6051 -6.3837 -4.7110
S 6.7034 -2.8964 -3.8255
Ba 3.2200 -6.6230 -6.9756
S 4.4899 -3.5511 -6.6240
S 8.1801 -4.7217 -6.5908
Ba -2.3296 -7.9549 0.6492
Ba 7.4527 -7.9657 -6.9376
Ba -0.5885 -2.5739 -3.1512
Cl -0.8545 -10.8199 -5.4142
Cl 1.0619 -4.7681 -5.0360
Ga -1.1322 -11.5643 -0.7820
S 1.4554 -3.4051 -0.7005
Cl 4.0612 -11.1525 -1.2524
Ba 1.9044 -2.1853 -7.6166
Ba 4.9612 -8.3492 -2.4407
S -3.0570 -11.1989 0.3024
Ga 0.7690 -5.5707 -0.7667

***

2.
40
Lattice="-0.6783 -15.4868 2.3006 6.5013 0.0558 2.2928 -3.3913 1.6260 9.9457" Properties=species:S:1:pos:R:3 comment="meta-GGA r2SCAN Ba2GdCl7, optimized geometry" total_magnetization_mub_per_cell=28.0 formation_energy_ev_per_fu=-27.1 volume_a3_per_atom=28.7 pbc="T T T"
Ba 2.1012 -7.5433 9.6954
Cl -0.3856 -12.3457 12.3415
Cl -1.8542 -8.6531 5.6671
Cl 0.0520 -8.6310 2.8407
Cl 1.5070 -8.6620 6.7006
Cl 1.5368 -5.4899 1.8063
Ba 4.4154 -4.2061 2.8188
Cl 2.8173 -1.4592 2.1976
Cl 0.2988 -2.4086 9.6651
Gd 0.3719 -1.5036 3.6017
Cl 6.1798 -1.4383 3.2268
Cl -0.0111 -1.3051 6.2783
Cl 0.9248 -5.1429 7.8384
Cl 0.8949 -8.3151 12.7328
Ba 3.5400 -14.2200 5.5936
Cl 1.9830 -3.4820 4.7309
Cl -1.0982 -7.0750 9.7879
Cl 3.5299 -6.7300 4.7511
Gd -1.4899 -4.4840 9.1381
Cl -2.8707 -10.0987 8.6821
Cl 4.2859 -5.1519 8.8720
Cl 3.6393 -2.1520 10.7197
Cl -1.2075 -11.6530 3.8194
Cl 0.3137 -14.3658 5.7774
Ba 2.7597 -2.4813 7.6562
Cl 2.3797 -5.1740 11.6984
Cl 2.1330 -11.3964 4.8740
Ba 0.3305 -6.2617 4.8437
Gd 2.0599 -12.3014 10.9373
Ba -0.3280 -11.3237 6.8829
Cl 2.4429 -12.4999 8.2608
Ba -1.9837 -9.5989 11.7203
Ba -1.1083 0.4150 8.9455
Cl 2.1180 0.5608 8.7617
Cl 4.3186 -0.4342 5.9006
Gd 3.9217 -9.3210 5.4010
Cl -1.8868 -13.3708 8.6384
Cl 5.3024 -3.7063 5.8570
Cl -3.7481 -12.3666 11.3123
Cl 0.4487 -10.3230 9.8081